The following is a DFT calculation (PBE-GGA) of a relaxed structure of AlTl2F5.

a b c (Å): 6.3651 6.3651 7.5922
angles (deg): 90.00 90.00 90.47
Closest atoms and distances in Å follow each position.
Sites, in units of the cell vectors:
Al  0.0000  0.0000  0.0000  6 F 1.81-1.90
Al  0.0000  0.0000  0.5000  6 F 1.81-1.90
Tl  0.0318  0.4902  0.7500  10 F 2.86-3.19
Tl  0.4902  0.0318  0.2500  10 F 2.86-3.19
Tl  0.5098  0.9682  0.7500  10 F 2.86-3.19
Tl  0.9682  0.5098  0.2500  10 F 2.86-3.19
F  0.0099  0.9901  0.7500  2 Al 1.90
F  0.2005  0.7995  0.0117  1 Al 1.81
F  0.2005  0.7995  0.4883  1 Al 1.81
F  0.2026  0.2026  0.0000  1 Al 1.82
F  0.2026  0.2026  0.5000  1 Al 1.82
F  0.7974  0.7974  0.0000  1 Al 1.82
F  0.7974  0.7974  0.5000  1 Al 1.82
F  0.7995  0.2005  0.5117  1 Al 1.81
F  0.7995  0.2005  0.9883  1 Al 1.81
F  0.9901  0.0099  0.2500  2 Al 1.90

Summary:
- Calculated formation energy: -2.97 eV/atom
- Total energy: -4.939 eV per atom
- E above lowest polymorph: 0.0010 eV per atom
- Mass density: 5.73 g cm⁻³
- E (MP2020): -83.651 eV for the cell shown



The following is a DFT calculation (PBE-GGA) of a relaxed structure of AlFe3.

a b c (Å): 5.7452 5.7452 5.7452
angles (deg): 90.00 90.00 90.00
Closest atoms and distances in Å follow each position.
Sites, in units of the cell vectors:
Al  0.0000  0.0000  0.0000  8 Fe 2.49
Al  0.0000  0.5000  0.5000  8 Fe 2.49
Al  0.5000  0.0000  0.5000  8 Fe 2.49
Al  0.5000  0.5000  0.0000  8 Fe 2.49
Fe  0.0000  0.0000  0.5000  8 Fe 2.49
Fe  0.0000  0.5000  0.0000  8 Fe 2.49
Fe  0.2500  0.2500  0.2500  4 Fe 2.49, 4 Al 2.49
Fe  0.2500  0.2500  0.7500  4 Fe 2.49, 4 Al 2.49
Fe  0.2500  0.7500  0.2500  4 Fe 2.49, 4 Al 2.49
Fe  0.2500  0.7500  0.7500  4 Fe 2.49, 4 Al 2.49
Fe  0.5000  0.0000  0.0000  8 Fe 2.49
Fe  0.5000  0.5000  0.5000  8 Fe 2.49
Fe  0.7500  0.2500  0.2500  4 Fe 2.49, 4 Al 2.49
Fe  0.7500  0.2500  0.7500  4 Fe 2.49, 4 Al 2.49
Fe  0.7500  0.7500  0.2500  4 Fe 2.49, 4 Al 2.49
Fe  0.7500  0.7500  0.7500  4 Fe 2.49, 4 Al 2.49

Summary:
- Calculated formation energy: -0.20 eV/atom
- Total energy: -7.486 eV per atom
- Mass density: 6.81 g cm⁻³



The following is a DFT calculation (PBE-GGA) of a relaxed structure of Al3Fe.

a b c (Å): 5.3750 5.3750 4.3738
angles (deg): 90.00 90.00 120.00
Closest atoms and distances in Å follow each position.
Sites, in units of the cell vectors:
Al  0.1713  0.3426  0.2500  8 Al 2.61-2.76, 4 Fe 2.66-2.69
Al  0.1713  0.8287  0.2500  8 Al 2.61-2.76, 4 Fe 2.66-2.69
Al  0.3426  0.1713  0.7500  8 Al 2.61-2.76, 4 Fe 2.66-2.69
Al  0.6574  0.8287  0.2500  8 Al 2.61-2.76, 4 Fe 2.66-2.69
Al  0.8287  0.1713  0.7500  8 Al 2.61-2.76, 4 Fe 2.66-2.69
Al  0.8287  0.6574  0.7500  8 Al 2.61-2.76, 4 Fe 2.66-2.69
Fe  0.3333  0.6667  0.7500  12 Al 2.66-2.69
Fe  0.6667  0.3333  0.2500  12 Al 2.66-2.69

Summary:
- Calculated formation energy: -0.15 eV/atom
- Total energy: -5.081 eV per atom
- Total magnetic moment: 0.6 μB per cell
- Mass density: 4.15 g cm⁻³



The following is a DFT calculation (PBE-GGA) of a relaxed structure of AlFe4.

a b c (Å): 10.0268 9.9296 2.5279
angles (deg): 84.91 80.54 14.54
Closest atoms and distances in Å follow each position.
Sites, in units of the cell vectors:
Al  0.0000  0.0000  0.0000  4 Fe 2.47, 4 Al 2.53
Fe  0.1998  0.1998  0.8002  8 Fe 2.45-2.53
Fe  0.3995  0.3995  0.6005  6 Fe 2.45-2.53, 2 Al 2.47
Fe  0.6005  0.6005  0.3995  6 Fe 2.45-2.53, 2 Al 2.47
Fe  0.8002  0.8002  0.1998  8 Fe 2.45-2.53

Summary:
- Calculated formation energy: -0.06 eV/atom
- Total energy: -7.588 eV per atom
- Total magnetic moment: 8.8 μB per cell
- Mass density: 6.96 g cm⁻³



The following is a DFT calculation (PBE-GGA) of a relaxed structure of AlFe2.

a b c (Å): 4.7395 4.7395 4.7395
angles (deg): 60.00 60.00 60.00
Closest atoms and distances in Å follow each position.
Sites, in units of the cell vectors:
Al  0.1250  0.1250  0.1250  12 Fe 2.78, 4 Al 2.90
Al  0.8750  0.8750  0.8750  12 Fe 2.78, 4 Al 2.90
Fe  0.0000  0.5000  0.5000  6 Fe 2.37
Fe  0.5000  0.0000  0.5000  6 Fe 2.37
Fe  0.5000  0.5000  0.0000  6 Fe 2.37
Fe  0.5000  0.5000  0.5000  6 Fe 2.37

Summary:
- Calculated formation energy: -0.10 eV/atom
- Total energy: -7.000 eV per atom
- Total magnetic moment: 7.0 μB per cell
- Mass density: 6.12 g cm⁻³



The following is a DFT calculation (PBE-GGA) of a relaxed structure of AlFe3.

a b c (Å): 3.0501 4.0846 7.7968
angles (deg): 90.00 90.00 90.00
Closest atoms and distances in Å follow each position.
Sites, in units of the cell vectors:
Al  0.0000  0.0000  0.0000  4 Fe 2.48, 4 Al 2.55
Al  0.5000  0.5000  0.0000  4 Fe 2.48, 4 Al 2.55
Fe  0.0000  0.0000  0.5000  8 Fe 2.47-2.55
Fe  0.0000  0.5000  0.2511  6 Fe 2.47-2.55, 2 Al 2.48
Fe  0.0000  0.5000  0.7489  6 Fe 2.47-2.55, 2 Al 2.48
Fe  0.5000  0.0000  0.2511  6 Fe 2.47-2.55, 2 Al 2.48
Fe  0.5000  0.0000  0.7489  6 Fe 2.47-2.55, 2 Al 2.48
Fe  0.5000  0.5000  0.5000  8 Fe 2.47-2.55

Summary:
- Calculated formation energy: -0.09 eV/atom
- Total energy: -7.375 eV per atom
- Total magnetic moment: 13.0 μB per cell
- Mass density: 6.65 g cm⁻³



The following is a DFT calculation (PBE-GGA) of a relaxed structure of AlFe3.

a b c (Å): 3.6490 3.6490 3.6490
angles (deg): 90.00 90.00 90.00
Closest atoms and distances in Å follow each position.
Sites, in units of the cell vectors:
Al  0.0000  0.0000  0.0000  12 Fe 2.58
Fe  0.0000  0.5000  0.5000  8 Fe 2.58, 4 Al 2.58
Fe  0.5000  0.0000  0.5000  8 Fe 2.58, 4 Al 2.58
Fe  0.5000  0.5000  0.0000  8 Fe 2.58, 4 Al 2.58

Summary:
- Calculated formation energy: -0.20 eV/atom
- Total energy: -7.488 eV per atom
- Mass density: 6.65 g cm⁻³



The following is a DFT calculation (PBE-GGA) of a relaxed structure of AlFe2.

a b c (Å): 4.1349 4.1349 2.5522
angles (deg): 90.00 90.00 120.00
Closest atoms and distances in Å follow each position.
Sites, in units of the cell vectors:
Al  0.0000  0.0000  0.0000  2 Al 2.55, 12 Fe 2.71
Fe  0.3333  0.6667  0.5000  5 Fe 2.39-2.55
Fe  0.6667  0.3333  0.5000  5 Fe 2.39-2.55

Summary:
- Calculated formation energy: -0.14 eV/atom
- Total energy: -7.037 eV per atom
- Total magnetic moment: 4.5 μB per cell
- Mass density: 6.09 g cm⁻³



The following is a DFT calculation (PBE-GGA) of a relaxed structure of AlFe.

a b c (Å): 2.6502 2.6502 4.9004
angles (deg): 90.00 90.00 120.00
Closest atoms and distances in Å follow each position.
Sites, in units of the cell vectors:
Al  0.0000  0.0000  0.0000  2 Fe 2.45, 6 Al 2.65
Fe  0.0000  0.0000  0.5000  2 Al 2.45, 6 Fe 2.65

Summary:
- Calculated formation energy: 0.46 eV/atom
- Total energy: -5.647 eV per atom
- Total magnetic moment: 2.4 μB per cell
- Mass density: 4.61 g cm⁻³



The following is a DFT calculation (PBE-GGA) of a relaxed structure of Al13Fe4.

a b c (Å): 8.7001 8.7001 12.4417
angles (deg): 105.67 105.67 55.04
Closest atoms and distances in Å follow each position.
Sites, in units of the cell vectors:
Al  0.0000  0.0000  0.0000  2 Fe 2.47, 4 Al 2.70
Al  0.0208  0.0208  0.6705  3 Fe 2.47-2.56, 1 Al 2.57
Al  0.0798  0.6558  0.6097  2 Fe 2.47-2.51, 2 Al 2.63-2.67
Al  0.0829  0.6437  0.9781  2 Fe 2.45-2.47, 5 Al 2.64-2.73
Al  0.0967  0.5322  0.3894  3 Fe 2.49-2.72, 2 Al 2.67
Al  0.1017  0.5419  0.1657  3 Fe 2.47-2.69, 2 Al 2.65-2.67
Al  0.1771  0.1771  0.2185  2 Fe 2.36
Al  0.1953  0.1953  0.7272  4 Fe 2.47-2.72, 5 Al 2.57-2.67
Al  0.2252  0.7586  0.8299  3 Fe 2.45-2.58, 2 Al 2.67-2.73
Al  0.2414  0.7748  0.1701  3 Fe 2.45-2.58, 2 Al 2.67-2.73
Al  0.2498  0.7502  0.5000  4 Fe 2.48-2.49
Al  0.2591  0.2591  0.5383  2 Fe 2.42-2.44, 1 Al 2.68
Al  0.2626  0.2626  0.9656  2 Fe 2.43-2.52, 2 Al 2.72
Al  0.3442  0.9202  0.3903  2 Fe 2.47-2.51, 2 Al 2.63-2.67
Al  0.3563  0.9171  0.0219  2 Fe 2.45-2.47, 5 Al 2.64-2.73
Al  0.4130  0.4130  0.7115  3 Fe 2.46-2.49, 7 Al 2.53-2.68
Al  0.4262  0.4262  0.9196  4 Fe 2.52-2.63, 7 Al 2.53-2.75
Al  0.4341  0.4341  0.3266  3 Fe 2.45-2.63, 1 Al 2.54
Al  0.4581  0.8983  0.8343  3 Fe 2.47-2.69, 2 Al 2.65-2.67
Al  0.4678  0.9033  0.6106  3 Fe 2.49-2.72, 2 Al 2.67
Al  0.5322  0.0967  0.3894  3 Fe 2.49-2.72, 2 Al 2.67
Al  0.5419  0.1017  0.1657  3 Fe 2.47-2.69, 2 Al 2.65-2.67
Al  0.5659  0.5659  0.6734  3 Fe 2.45-2.63, 1 Al 2.54
Al  0.5738  0.5738  0.0804  4 Fe 2.52-2.63, 7 Al 2.53-2.75
Al  0.5870  0.5870  0.2885  3 Fe 2.46-2.49, 7 Al 2.53-2.68
Al  0.6437  0.0829  0.9781  2 Fe 2.45-2.47, 5 Al 2.64-2.73
Al  0.6558  0.0798  0.6097  2 Fe 2.47-2.51, 2 Al 2.63-2.67
Al  0.7374  0.7374  0.0344  2 Fe 2.43-2.52, 2 Al 2.72
Al  0.7409  0.7409  0.4617  2 Fe 2.42-2.44, 1 Al 2.68
Al  0.7502  0.2498  0.5000  4 Fe 2.48-2.49
Al  0.7586  0.2252  0.8299  3 Fe 2.45-2.58, 2 Al 2.67-2.73
Al  0.7748  0.2414  0.1701  3 Fe 2.45-2.58, 2 Al 2.67-2.73
Al  0.8047  0.8047  0.2728  4 Fe 2.47-2.72, 5 Al 2.57-2.67
Al  0.8229  0.8229  0.7815  2 Fe 2.36
Al  0.8983  0.4581  0.8343  3 Fe 2.47-2.69, 2 Al 2.65-2.67
Al  0.9033  0.4678  0.6106  3 Fe 2.49-2.72, 2 Al 2.67
Al  0.9171  0.3563  0.0219  2 Fe 2.45-2.47, 5 Al 2.64-2.73
Al  0.9202  0.3442  0.3903  2 Fe 2.47-2.51, 2 Al 2.63-2.67
Al  0.9792  0.9792  0.3295  3 Fe 2.47-2.56, 1 Al 2.57
Fe  0.0978  0.0978  0.5147  8 Al 2.42-2.61
Fe  0.0985  0.0985  0.8766  10 Al 2.43-2.72
Fe  0.1137  0.5262  0.7778  9 Al 2.36-2.61
Fe  0.4093  0.4093  0.5121  8 Al 2.44-2.63
Fe  0.4145  0.4145  0.1170  8 Al 2.47-2.63
Fe  0.4738  0.8863  0.2222  9 Al 2.36-2.61
Fe  0.5262  0.1137  0.7778  9 Al 2.36-2.61
Fe  0.5855  0.5855  0.8830  8 Al 2.47-2.63
Fe  0.5907  0.5907  0.4879  8 Al 2.44-2.63
Fe  0.8863  0.4738  0.2222  9 Al 2.36-2.61
Fe  0.9015  0.9015  0.1234  10 Al 2.43-2.72
Fe  0.9022  0.9022  0.4853  8 Al 2.42-2.61

Summary:
- Calculated formation energy: -0.33 eV/atom
- Total energy: -5.184 eV per atom
- Mass density: 3.89 g cm⁻³



The following is a DFT calculation (PBE-GGA) of a relaxed structure of AlFe.

a b c (Å): 2.8743 2.8743 2.8743
angles (deg): 90.00 90.00 90.00
Closest atoms and distances in Å follow each position.
Sites, in units of the cell vectors:
Al  0.0000  0.0000  0.0000  8 Fe 2.49
Fe  0.5000  0.5000  0.5000  8 Al 2.49

Summary:
- Calculated formation energy: -0.33 eV/atom
- Total energy: -6.435 eV per atom
- Mass density: 5.79 g cm⁻³



The following is a DFT calculation (PBE-GGA) of a relaxed structure of UAl7GaFe4.

a b c (Å): 6.6848 6.6848 6.6848
angles (deg): 134.87 98.33 98.61
Closest atoms and distances in Å follow each position.
Sites, in units of the cell vectors:
U  0.0000  0.0000  0.0000  1 Ga 3.09, 11 Al 3.10-3.37, 8 Fe 3.11-3.17
Al  0.0022  0.0016  0.4976  4 Fe 2.55-2.57, 5 Al 2.55-2.70, 1 Ga 2.69
Al  0.0022  0.5046  0.0006  4 Fe 2.55-2.57, 5 Al 2.55-2.70, 1 Ga 2.69
Al  0.3578  0.0033  0.3545  5 Al 2.54-2.69, 1 Fe 2.78
Al  0.5040  0.0016  0.9994  4 Fe 2.55-2.57, 5 Al 2.55-2.70, 1 Ga 2.69
Al  0.5040  0.5046  0.5024  4 Fe 2.55-2.57, 5 Al 2.55-2.70, 1 Ga 2.69
Al  0.6425  0.6425  0.0000  1 Ga 2.52, 4 Al 2.70
Al  0.6488  0.0033  0.6455  5 Al 2.54-2.69, 1 Fe 2.78
Ga  0.3540  0.3540  0.0000  5 Al 2.52-2.69
Fe  0.2045  0.5037  0.7008  2 Fe 2.49-2.58, 4 Al 2.56-2.57
Fe  0.2065  0.7065  0.5000  2 Fe 2.49, 4 Al 2.57
Fe  0.7870  0.2870  0.5000  6 Al 2.55-2.78, 2 Fe 2.58
Fe  0.8029  0.5037  0.2992  2 Fe 2.49-2.58, 4 Al 2.56-2.57

Summary:
- Calculated formation energy: -0.17 eV/atom
- Total energy: -5.899 eV per atom
- Total magnetic moment: 5.5 μB per cell
- Mass density: 6.12 g cm⁻³



What did the ninth record say?
The following is a DFT calculation (PBE-GGA) of a relaxed structure of AlFe.

a b c (Å): 2.6502 2.6502 4.9004
angles (deg): 90.00 90.00 120.00
Closest atoms and distances in Å follow each position.
Sites, in units of the cell vectors:
Al  0.0000  0.0000  0.0000  2 Fe 2.45, 6 Al 2.65
Fe  0.0000  0.0000  0.5000  2 Al 2.45, 6 Fe 2.65

Summary:
- Calculated formation energy: 0.46 eV/atom
- Total energy: -5.647 eV per atom
- Total magnetic moment: 2.4 μB per cell
- Mass density: 4.61 g cm⁻³



The lowest total energy belongs to which entry? AlFe4



total energy of number 6 (AlFe3)? -7.375 eV per atom